Below is an optimized crystal structure of PuSi2Rh2, with properties calculated at the r2SCAN level.

Cell and atoms, written as extended XYZ:
```
10
Lattice="4.0461 0.0000 0.0000 0.0000 4.0461 0.0000 0.0000 0.0000 10.0910" Properties=species:S:1:pos:R:3 pbc="T T T"
Pu 0.0000 0.0000 0.0000
Pu 2.0231 2.0231 5.0455
Si 0.0000 0.0000 3.8056
Si 0.0000 0.0000 6.2854
Si 2.0231 2.0231 1.2399
Si 2.0231 2.0231 8.8511
Rh 0.0000 2.0231 2.5228
Rh 0.0000 2.0231 7.5683
Rh 2.0231 0.0000 2.5228
Rh 2.0231 0.0000 7.5683
```

---

Below is an optimized crystal structure of PuS2, with properties calculated at the r2SCAN level.

Cell and atoms, written as extended XYZ:
```
6
Lattice="3.9733 0.0000 0.0000 0.0000 3.9733 0.0000 0.0000 0.0000 7.7700" Properties=species:S:1:pos:R:3 pbc="T T T"
Pu 0.9933 0.9933 1.8143
Pu 2.9800 2.9800 5.9557
S 0.9933 0.9933 6.6836
S 0.9933 2.9800 3.8850
S 2.9800 0.9933 3.8850
S 2.9800 2.9800 1.0864
```

---

Below is an optimized crystal structure of Pu4Sb3, with properties calculated at the r2SCAN level.

Cell and atoms, written as extended XYZ:
```
14
Lattice="-4.6635 4.6635 4.6681 4.6635 -4.6635 4.6681 4.6635 4.6635 -4.6681" Properties=species:S:1:pos:R:3 pbc="T T T"
Pu 6.2736 0.7062 0.4388
Pu 3.9573 3.0533 -1.8952
Pu 0.7062 3.0533 -0.4388
Pu 0.7062 1.6101 2.7729
Pu 3.9573 1.6101 4.2293
Pu 1.6101 -0.7062 6.5634
Pu 3.0533 5.3697 1.8952
Pu -1.6101 3.9573 5.1070
Sb 0.0000 0.0000 0.0000
Sb 2.3317 -1.1655 3.5011
Sb 3.4979 2.3317 1.1670
Sb 2.3317 5.8290 -1.1670
Sb 0.0000 4.6635 2.3341
Sb 1.1655 2.3317 5.8352
```

---

Below is an optimized crystal structure of PuSe2, with properties calculated at the r2SCAN level.

Cell and atoms, written as extended XYZ:
```
6
Lattice="4.1284 0.0000 0.0000 0.0000 4.1284 0.0000 0.0000 0.0000 8.3813" Properties=species:S:1:pos:R:3 pbc="T T T"
Pu 1.0321 1.0321 1.8885
Pu 3.0963 3.0963 6.4928
Se 1.0321 1.0321 7.2235
Se 1.0321 3.0963 4.1907
Se 3.0963 1.0321 4.1907
Se 3.0963 3.0963 1.1579
```

---

Per-record DFT total energy, eV per cell: -315.0, -215.6, -860.1, -240.0